1.
NdGe2Ru2 | Materials Project | r2SCAN | optimized geometry; E = -111.6 eV/cell; SG = I4/mmm, No. 139
1.0
3.9778 0.0000 -1.5611
-0.6126 3.9303 -1.5611
0.0016 0.0019 5.8525
Nd Ru Ge
1 2 2
Cartesian
0.0000 0.0000 0.0000
2.8310 0.9835 1.3652
0.5358 2.9487 1.3652
2.1339 2.4923 -0.4110
1.2328 1.4399 3.1413



2.
NdTiGe | Materials Project | r2SCAN | optimized geometry; E = -116.9 eV/cell; SG = P4/nmm, No. 129
1.0
-3.2735 -1.8107 -1.7091
2.0621 -0.3896 -3.5371
2.7277 -7.1789 2.3810
Ti Nd Ge
2 2 2
Cartesian
-1.9396 -1.4554 -2.1661
0.7282 -0.7448 -3.0801
1.4737 -5.2255 0.2391
0.0427 -4.1536 -3.1043
0.3128 -2.1702 -0.7742
1.2036 -7.2089 -2.0910



3.
NdZnGe | Materials Project | r2SCAN | optimized geometry; E = -218.4 eV/cell; SG = P6_3/mmc, No. 194
1.0
2.1289 -3.6873 0.0000
2.1289 3.6873 0.0000
0.0000 0.0000 16.6177
Ge Zn Nd
4 4 4
Cartesian
2.1289 -1.2291 1.9382
2.1289 -1.2291 6.3707
2.1289 1.2291 14.6795
2.1289 1.2291 10.2470
2.1289 -1.2291 14.2592
2.1289 1.2291 2.3585
2.1289 -1.2291 10.6673
2.1289 1.2291 5.9504
0.0000 0.0000 12.4633
0.0000 0.0000 4.1544
0.0000 0.0000 8.3088
0.0000 0.0000 0.0000